Record 1
Computed, not measured: crystalline LiCuF2 at its relaxed geometry at the PBE level of DFT.

```
LiCuF2
1.0
-1.724 3.431 3.573
-5.356 -1.778 -0.878
0.621 -4.352 4.478
F Cu Li
8 4 4
direct
0.277 0.595 0.211
0.305 0.121 0.620
0.777 0.905 0.789
0.805 0.379 0.380
0.223 0.095 0.211
0.723 0.405 0.789
0.195 0.621 0.620
0.695 0.879 0.380
0.243 0.604 0.918
0.257 0.104 0.918
0.743 0.896 0.082
0.757 0.396 0.082
0.678 0.149 0.592
0.322 0.851 0.408
0.822 0.649 0.592
0.178 0.351 0.408
```

Calculated values
- Calculated total energy: -70.84 eV/cell
- Space group: P2_1/c (14)
- Calculated density: 3.83 g cm⁻³

Record 2
Computed, not measured: crystalline Li2CuF4 at its relaxed geometry at the PBE level of DFT.

```
Li2CuF4
1.0
-1.382 4.212 -2.786
-0.948 -3.335 -4.571
-5.308 -2.241 -0.756
F Li Cu
8 4 2
direct
0.948 0.828 0.329
0.906 0.361 0.284
0.094 0.361 0.784
0.052 0.828 0.829
0.572 0.144 0.674
0.428 0.144 0.174
0.581 0.664 0.690
0.419 0.664 0.190
0.789 0.453 0.571
0.271 0.662 0.508
0.729 0.662 0.008
0.211 0.453 0.071
0.745 0.014 0.467
0.255 0.014 0.967
```

Calculated values
- Calculated total energy: -63.43 eV/cell
- Space group: Pc (7)
- Calculated density: 3.32 g cm⁻³

Record 3
Computed, not measured: crystalline Li5CuF6 at its relaxed geometry at the PBE level of DFT.

```
Li5CuF6
1.0
4.378 7.521 0.000
-4.378 7.521 0.000
0.000 0.511 5.049
F Li Cu
18 15 3
direct
0.582 0.582 0.621
0.751 0.403 0.150
0.090 0.090 0.112
0.248 0.248 0.724
0.066 0.419 0.251
0.419 0.066 0.251
0.249 0.597 0.850
0.752 0.752 0.276
0.266 0.913 0.644
0.418 0.418 0.379
0.934 0.581 0.749
0.734 0.087 0.356
0.913 0.266 0.644
0.910 0.910 0.888
0.597 0.249 0.850
0.581 0.934 0.749
0.087 0.734 0.356
0.403 0.751 0.150
0.667 0.333 0.500
0.664 0.997 0.065
0.833 0.167 0.000
0.336 0.003 0.935
0.167 0.833 0.000
0.500 0.500 0.000
0.997 0.664 0.065
0.498 0.167 0.558
0.003 0.336 0.935
0.167 0.498 0.558
0.170 0.170 0.432
0.333 0.667 0.500
0.502 0.833 0.442
0.830 0.830 0.568
0.833 0.502 0.442
0.332 0.332 0.058
0.668 0.668 0.942
0.000 0.000 0.500
```

Calculated values
- Calculated total energy: -165.92 eV/cell
- Space group: C2/m (12)
- Calculated density: 3.18 g cm⁻³

Record 4
Computed, not measured: crystalline Li2Cu2F7 at its relaxed geometry at the PBE level of DFT.

```
Li2Cu2F7
1.0
5.900 0.000 0.000
0.000 7.029 0.000
0.000 0.000 13.036
F Cu Li
28 8 8
direct
0.183 0.450 0.036
0.317 0.450 0.536
0.468 0.758 0.620
0.406 0.530 0.259
0.905 0.724 0.602
0.720 0.250 0.094
0.405 0.224 0.898
0.532 0.258 0.380
0.095 0.224 0.398
0.780 0.250 0.594
0.296 0.053 0.541
0.594 0.030 0.741
0.032 0.758 0.120
0.683 0.950 0.464
0.586 0.475 0.738
0.204 0.053 0.041
0.968 0.258 0.880
0.094 0.530 0.759
0.796 0.553 0.959
0.220 0.750 0.406
0.086 0.975 0.762
0.704 0.553 0.459
0.914 0.475 0.238
0.595 0.724 0.102
0.906 0.030 0.241
0.280 0.750 0.906
0.414 0.975 0.262
0.817 0.950 0.964
0.370 0.496 0.395
0.648 0.523 0.603
0.352 0.023 0.397
0.148 0.023 0.897
0.130 0.496 0.895
0.630 0.996 0.605
0.852 0.523 0.103
0.870 0.996 0.105
0.336 0.754 0.188
0.908 0.757 0.452
0.836 0.254 0.312
0.408 0.257 0.048
0.092 0.257 0.548
0.664 0.254 0.812
0.592 0.757 0.952
0.164 0.754 0.688
```

Calculated values
- Calculated total energy: -185.73 eV/cell
- Space group: Pna2_1 (33)
- Calculated density: 3.37 g cm⁻³

Record 5
Computed, not measured: crystalline LiCu3F10 at its relaxed geometry at the PBE level of DFT.

```
LiCu3F10
1.0
-0.874 -7.153 0.545
2.347 -0.061 2.961
-11.103 2.036 8.916
Li F Cu
2 20 6
direct
0.583 0.040 0.928
0.417 0.040 0.428
0.772 0.019 0.228
0.411 0.522 0.625
0.236 0.024 0.533
0.402 0.024 0.028
0.570 0.021 0.724
0.873 0.018 0.401
0.096 0.017 0.155
0.774 0.011 0.844
0.904 0.017 0.655
0.006 0.516 0.281
0.589 0.522 0.125
0.764 0.024 0.033
0.228 0.019 0.728
0.226 0.011 0.344
0.127 0.018 0.901
0.071 0.519 0.025
0.994 0.516 0.781
0.929 0.519 0.525
0.430 0.021 0.224
0.598 0.024 0.528
0.998 0.016 0.781
0.410 0.022 0.630
0.590 0.022 0.130
0.904 0.019 0.528
0.002 0.016 0.281
0.096 0.019 0.028
```

Calculated values
- Calculated total energy: -108.06 eV/cell
- Space group: Pc (7)
- Calculated density: 3.28 g cm⁻³

Record 6
Computed, not measured: crystalline Li4CuF5 at its relaxed geometry at the PBE level of DFT.

```
Li4CuF5
1.0
-3.379 3.379 2.047
3.379 -3.379 2.047
3.379 3.379 -2.047
Cu Li F
1 4 5
direct
0.000 0.000 0.000
0.393 0.807 0.200
0.193 0.393 0.585
0.607 0.193 0.800
0.807 0.607 0.415
0.118 0.678 0.795
0.322 0.118 0.440
0.678 0.882 0.560
0.882 0.322 0.205
0.500 0.500 0.000
```

Calculated values
- Calculated total energy: -45.96 eV/cell
- Space group: I4/m (87)
- Calculated density: 3.31 g cm⁻³

Record 7
Computed, not measured: crystalline LiCu3F10 at its relaxed geometry at the PBE level of DFT.

```
LiCu3F10
1.0
-5.038 -2.389 -4.183
3.998 -5.679 -1.572
-2.960 -3.647 5.648
F Cu Li
20 6 2
direct
0.690 0.328 0.454
0.690 0.672 0.954
0.500 0.000 0.000
0.774 0.942 0.250
0.690 0.672 0.546
0.226 0.942 0.250
0.690 0.328 0.046
0.310 0.672 0.954
0.000 0.834 0.541
0.310 0.328 0.454
0.226 0.058 0.750
0.000 0.166 0.459
0.500 0.000 0.500
0.000 0.166 0.041
0.774 0.058 0.750
0.000 0.834 0.959
0.500 0.427 0.750
0.500 0.573 0.250
0.310 0.672 0.546
0.310 0.328 0.046
0.768 0.000 0.000
0.232 0.000 0.500
0.500 0.500 0.500
0.768 0.000 0.500
0.232 0.000 0.000
0.500 0.500 0.000
0.000 0.678 0.750
0.000 0.322 0.250
```

Calculated values
- Calculated total energy: -106.86 eV/cell
- Space group: Pmma (51)
- Calculated density: 3.53 g cm⁻³

Record 8
Computed, not measured: crystalline Li2Cu3F8 at its relaxed geometry at the PBE level of DFT.

```
Li2Cu3F8
1.0
5.288 3.097 0.000
-5.288 3.097 0.000
0.000 0.043 9.155
Li F Cu
4 16 6
direct
0.668 0.332 0.416
0.668 0.336 0.039
0.336 0.668 0.539
0.332 0.668 0.916
0.663 0.801 0.638
0.330 0.674 0.128
0.520 0.974 0.376
0.334 0.146 0.140
0.993 0.004 0.862
0.146 0.334 0.640
0.974 0.520 0.876
0.004 0.993 0.362
0.458 0.485 0.373
0.029 0.540 0.372
0.801 0.663 0.138
0.190 0.857 0.642
0.674 0.330 0.628
0.485 0.458 0.873
0.857 0.190 0.142
0.540 0.029 0.872
0.832 0.670 0.750
0.162 0.330 0.250
0.670 0.832 0.250
0.330 0.162 0.750
0.167 0.838 0.247
0.838 0.167 0.747
```

Calculated values
- Calculated total energy: -112.37 eV/cell
- Space group: Cc (9)
- Calculated density: 3.95 g cm⁻³

Record 9
Computed, not measured: crystalline LiCu2F4 at its relaxed geometry at the PBE level of DFT.

```
LiCu2F4
1.0
9.863 0.000 0.000
0.000 3.019 0.000
0.000 0.520 5.263
Cu F Li
4 8 2
direct
0.425 0.641 0.735
0.075 0.641 0.735
0.575 0.359 0.265
0.925 0.359 0.265
0.000 0.000 0.000
0.883 0.676 0.581
0.250 0.574 0.929
0.617 0.676 0.581
0.117 0.324 0.419
0.500 0.000 0.000
0.750 0.426 0.071
0.383 0.324 0.419
0.750 0.037 0.778
0.250 0.963 0.222
```

Calculated values
- Calculated total energy: -59.90 eV/cell
- Space group: P2_1/m (11)
- Calculated density: 4.45 g cm⁻³

Record 10
Computed, not measured: crystalline Li2Cu2F7 at its relaxed geometry at the PBE level of DFT.

```
Li2Cu2F7
1.0
0.000 5.016 5.016
5.016 0.000 5.016
5.016 5.016 0.000
Li F Cu
4 14 4
direct
0.125 0.625 0.125
0.125 0.125 0.625
0.125 0.125 0.125
0.625 0.125 0.125
0.704 0.296 0.296
0.546 0.954 0.546
0.954 0.546 0.546
0.250 0.250 0.250
0.296 0.704 0.704
0.954 0.954 0.546
0.000 0.000 0.000
0.704 0.296 0.704
0.296 0.296 0.704
0.954 0.546 0.954
0.546 0.546 0.954
0.546 0.954 0.954
0.704 0.704 0.296
0.296 0.704 0.296
0.625 0.625 0.125
0.625 0.125 0.625
0.625 0.625 0.625
0.125 0.625 0.625
```

Calculated values
- Calculated total energy: -93.38 eV/cell
- Space group: Fd-3m (227)
- Calculated density: 3.60 g cm⁻³

Record 11
Computed, not measured: crystalline Li2Cu7F16 at its relaxed geometry at the PBE level of DFT.

```
Li2Cu7F16
1.0
-1.805 1.791 5.850
5.555 -3.062 -0.771
3.145 6.984 -4.511
F Cu Li
16 7 2
direct
0.829 0.412 0.250
0.171 0.588 0.750
0.109 0.754 0.112
0.341 0.342 0.112
0.207 0.991 0.884
0.244 0.380 0.420
0.891 0.246 0.888
0.043 0.863 0.418
0.659 0.658 0.888
0.446 0.823 0.581
0.756 0.620 0.580
0.957 0.137 0.582
0.554 0.177 0.419
0.793 0.009 0.116
0.462 0.232 0.706
0.538 0.768 0.294
0.129 0.895 0.657
0.753 0.236 0.658
0.580 0.477 0.339
0.000 0.000 0.000
0.420 0.523 0.661
0.247 0.764 0.342
0.871 0.105 0.343
0.302 0.639 0.990
0.698 0.361 0.010
```

Calculated values
- Calculated total energy: -104.37 eV/cell
- Space group: P-1 (2)
- Calculated density: 4.38 g cm⁻³

Record 12
Computed, not measured: crystalline Li3Cu4F15 at its relaxed geometry at the PBE level of DFT.

```
Li3Cu4F15
1.0
-1.266 -2.194 -2.835
15.673 -4.058 -3.856
-0.873 -14.137 11.329
Li F Cu
12 60 16
direct
0.000 0.346 0.015
0.000 0.323 0.395
0.000 0.042 0.166
0.500 0.654 0.515
0.500 0.958 0.666
0.500 0.182 0.646
0.000 0.824 0.528
0.500 0.677 0.895
0.000 0.818 0.146
0.500 0.422 0.885
0.000 0.578 0.385
0.500 0.176 0.028
0.500 0.640 0.404
0.000 0.916 0.823
0.500 0.471 0.120
0.000 0.710 0.903
0.000 0.213 0.642
0.500 0.807 0.872
0.000 0.367 0.582
0.500 0.084 0.323
0.500 0.782 0.479
0.500 0.355 0.213
0.000 0.645 0.713
0.000 0.749 0.382
0.500 0.471 0.533
0.000 0.534 0.823
0.000 0.712 0.570
0.000 0.925 0.114
0.000 0.034 0.516
0.000 0.854 0.637
0.500 0.748 0.667
0.500 0.290 0.403
0.500 0.633 0.082
0.500 0.221 0.270
0.000 0.416 0.729
0.000 0.193 0.372
0.000 0.360 0.904
0.500 0.426 0.989
0.500 0.288 0.070
0.500 0.075 0.614
0.500 0.146 0.137
0.500 0.787 0.142
0.500 0.972 0.428
0.500 0.584 0.229
0.500 0.029 0.822
0.500 0.576 0.938
0.000 0.143 0.836
0.500 0.932 0.562
0.000 0.068 0.062
0.000 0.529 0.620
0.000 0.529 0.033
0.500 0.530 0.723
0.500 0.723 0.277
0.000 0.277 0.777
0.000 0.024 0.723
0.000 0.864 0.970
0.500 0.308 0.678
0.000 0.252 0.167
0.500 0.857 0.336
0.000 0.692 0.178
0.000 0.218 0.979
0.500 0.966 0.016
0.500 0.136 0.470
0.000 0.424 0.438
0.500 0.251 0.882
0.000 0.574 0.489
0.000 0.779 0.770
0.500 0.466 0.323
0.000 0.470 0.223
0.500 0.976 0.223
0.000 0.028 0.928
0.000 0.971 0.322
0.500 0.971 0.325
0.500 0.532 0.032
0.000 0.468 0.532
0.500 0.753 0.376
0.500 0.034 0.517
0.500 0.252 0.171
0.000 0.748 0.671
0.500 0.682 0.179
0.000 0.816 0.870
0.000 0.029 0.825
0.000 0.966 0.017
0.500 0.469 0.224
0.500 0.184 0.370
0.000 0.318 0.679
0.000 0.531 0.724
0.000 0.247 0.876
```

Calculated values
- Calculated total energy: -355.59 eV/cell
- Space group: Pmn2_1 (31)
- Calculated density: 3.24 g cm⁻³

Formation energy in eV per atom, matching the order above: -2.20; -2.57; -2.75; -2.20; -1.81; -2.70; -1.76; -2.19; -2.00; -2.23; -1.94; -2.04